# Ga3Ge

An optimized crystal structure of Ga3Ge (PBE, the Materials Project database).

Output
Energy of formation from the pure elements: 0.087 eV per atom
Offset from the most stable computed form: 0.00 eV per formula unit
Density: 6.17 g/cm³
M_tot: 0.00 μB/atom

a = 4.2325 Å, b = 4.2325 Å, c = 4.2325 Å
α = 90.00°, β = 90.00°, γ = 90.00°
With the nearest neighbours (Å) after each atom.
Atoms (fractional coordinates):
Ga  0.0000  0.0000  0.5000  4 Ge 2.99, 8 Ga 2.99
Ga  0.0000  0.5000  0.0000  4 Ge 2.99, 8 Ga 2.99
Ga  0.5000  0.0000  0.0000  4 Ge 2.99, 8 Ga 2.99
Ge  0.5000  0.5000  0.5000  12 Ga 2.99

# Te4Mo3WSe2S2

An optimized crystal structure of Te4Mo3WSe2S2 (PBE, the Materials Project database).

Output
Energy of formation from the pure elements: -0.536 eV per atom
Offset from the most stable computed form: 0.01 eV per formula unit
Density: 5.18 g/cm³
M_tot: 0.00 μB/atom
Total energy after the MP2020 corrections: -6.647 eV per atom

a = 3.3921 Å, b = 3.3921 Å, c = 38.7656 Å
α = 90.00°, β = 90.00°, γ = 120.00°
With the nearest neighbours (Å) after each atom.
Atoms (fractional coordinates):
Te  0.0000  0.0000  0.0000  3 Mo 2.71
Te  0.0000  0.0000  0.0968  3 Mo 2.71
Te  0.0000  0.0000  0.3758  3 Mo 2.71
Te  0.0000  0.0000  0.4725  3 Mo 2.71
Mo  0.0000  0.0000  0.2363  6 Se 2.56
Mo  0.6667  0.3333  0.0484  6 Te 2.71
Mo  0.6667  0.3333  0.4241  6 Te 2.71
W  0.0000  0.0000  0.6120  6 S 2.47
Se  0.6667  0.3333  0.1937  3 Mo 2.56
Se  0.6667  0.3333  0.2788  3 Mo 2.56
S  0.6667  0.3333  0.5731  3 W 2.47
S  0.6667  0.3333  0.6509  3 W 2.47

# Ta3B4W3

An optimized crystal structure of Ta3B4W3 (PBE, the Materials Project database).

Output
Energy of formation from the pure elements: -0.458 eV per atom
Density: 15.46 g/cm³
M_tot: 0.00 μB/atom

a = 3.2251 Å, b = 6.1561 Å, c = 6.1561 Å
α = 89.75°, β = 90.00°, γ = 90.00°
With the nearest neighbours (Å) after each atom.
Atoms (fractional coordinates):
Ta  0.0000  0.0000  0.0000  6 B 2.42-2.48
Ta  0.5000  0.1749  0.6710  4 B 2.47-2.50
Ta  0.5000  0.6710  0.1749  4 B 2.47-2.50
B  0.5000  0.0614  0.2874  1 B 1.96
B  0.5000  0.2874  0.0614  1 B 1.96
B  0.5000  0.5633  0.5633  1 B 1.93
B  0.5000  0.7843  0.7843  1 B 1.93
W  0.0000  0.3489  0.3489  6 B 2.43-2.47
W  0.0000  0.5018  0.8439  6 B 2.39-2.47
W  0.0000  0.8439  0.5018  6 B 2.39-2.47

# TaAlFe

An optimized crystal structure of TaAlFe (PBE, the Materials Project database).

Output
Energy of formation from the pure elements: -0.326 eV per atom
Density: 10.39 g/cm³
M_tot: 0.44 μB/atom

a = 8.0500 Å, b = 4.9017 Å, c = 4.9017 Å
α = 60.66°, β = 90.00°, γ = 90.00°
With the nearest neighbours (Å) after each atom.
Atoms (fractional coordinates):
Ta  0.1802  0.0000  0.0000  5 Al 2.81-2.92, 7 Fe 2.84-2.94, 4 Ta 2.90-3.02
Ta  0.3034  0.3320  0.3320  5 Fe 2.79-2.94, 7 Al 2.86-2.93, 3 Ta 2.98-3.02
Ta  0.6966  0.3320  0.3320  5 Fe 2.79-2.94, 7 Al 2.86-2.93, 3 Ta 2.98-3.02
Ta  0.8198  0.0000  0.0000  5 Al 2.81-2.92, 7 Fe 2.84-2.94, 4 Ta 2.90-3.02
Al  0.2421  0.6733  0.6733  4 Fe 2.44-2.47, 2 Al 2.57
Al  0.5000  0.3195  0.8348  2 Fe 2.40-2.50, 4 Al 2.40-2.57
Al  0.5000  0.8348  0.3195  2 Fe 2.40-2.50, 4 Al 2.40-2.57
Al  0.7579  0.6733  0.6733  4 Fe 2.44-2.47, 2 Al 2.57
Fe  0.0000  0.0147  0.4950  4 Fe 2.36-2.57, 2 Al 2.44
Fe  0.0000  0.4950  0.0147  4 Fe 2.36-2.57, 2 Al 2.44
Fe  0.0000  0.4964  0.4964  4 Fe 2.36-2.54, 2 Al 2.46
Fe  0.5000  0.8317  0.8317  6 Al 2.40-2.50

# BaAl2Cl8

An optimized crystal structure of BaAl2Cl8 (PBE, the Materials Project database).

Output
Energy of formation from the pure elements: -2.296 eV per atom
Density: 2.13 g/cm³
Total energy after the MP2020 corrections: -4.495 eV per atom

a = 8.1532 Å, b = 7.2368 Å, c = 12.8024 Å
α = 90.00°, β = 100.90°, γ = 90.00°
With the nearest neighbours (Å) after each atom.
Atoms (fractional coordinates):
Ba  0.0000  0.1477  0.2500  8 Cl 3.23-3.25
Ba  0.0000  0.8523  0.7500  8 Cl 3.23-3.25
Al  0.2003  0.2740  0.9411  4 Cl 2.16-2.17
Al  0.2003  0.7260  0.4411  4 Cl 2.16-2.17
Al  0.7997  0.2740  0.5589  4 Cl 2.16-2.17
Al  0.7997  0.7260  0.0589  4 Cl 2.16-2.17
Cl  0.0620  0.2029  0.6034  1 Al 2.17
Cl  0.0620  0.7971  0.1034  1 Al 2.17
Cl  0.2472  0.4560  0.3811  1 Al 2.16
Cl  0.2472  0.5440  0.8811  1 Al 2.16
Cl  0.2731  0.2776  0.1123  1 Al 2.16
Cl  0.2731  0.7224  0.6123  1 Al 2.16
Cl  0.3327  0.0635  0.8709  1 Al 2.16
Cl  0.3327  0.9365  0.3709  1 Al 2.16
Cl  0.6673  0.0635  0.6291  1 Al 2.16
Cl  0.6673  0.9365  0.1291  1 Al 2.16
Cl  0.7269  0.2776  0.3877  1 Al 2.16
Cl  0.7269  0.7224  0.8877  1 Al 2.16
Cl  0.7528  0.4560  0.1189  1 Al 2.16
Cl  0.7528  0.5440  0.6189  1 Al 2.16
Cl  0.9380  0.2029  0.8966  1 Al 2.17
Cl  0.9380  0.7971  0.3966  1 Al 2.17

# Sm5Ru2

An optimized crystal structure of Sm5Ru2 (PBE, the Materials Project database).

Output
Energy of formation from the pure elements: -0.269 eV per atom
Density: 8.23 g/cm³

a = 8.7082 Å, b = 8.7082 Å, c = 7.3695 Å
α = 96.19°, β = 96.19°, γ = 43.91°
With the nearest neighbours (Å) after each atom.
Atoms (fractional coordinates):
Sm  0.0774  0.9226  0.7500  4 Ru 2.95-3.00
Sm  0.1416  0.2929  0.3142  3 Ru 2.87-3.13
Sm  0.2929  0.1416  0.8142  3 Ru 2.87-3.13
Sm  0.2927  0.5208  0.0843  2 Ru 2.80-2.86
Sm  0.4792  0.7073  0.4157  2 Ru 2.80-2.86
Sm  0.5208  0.2927  0.5843  2 Ru 2.80-2.86
Sm  0.7073  0.4792  0.9157  2 Ru 2.80-2.86
Sm  0.7071  0.8584  0.1858  3 Ru 2.87-3.13
Sm  0.8584  0.7071  0.6858  3 Ru 2.87-3.13
Sm  0.9226  0.0774  0.2500  4 Ru 2.95-3.00
Ru  0.1033  0.6758  0.4256  7 Sm 2.80-3.13
Ru  0.3242  0.8967  0.0744  7 Sm 2.80-3.13
Ru  0.6758  0.1033  0.9256  7 Sm 2.80-3.13
Ru  0.8967  0.3242  0.5744  7 Sm 2.80-3.13

# ErZrSb

An optimized crystal structure of ErZrSb (PBE, the Materials Project database).

Output
Energy of formation from the pure elements: -0.841 eV per atom
Density: 8.41 g/cm³
Total energy after the MP2020 corrections: -6.589 eV per atom

a = 8.7961 Å, b = 8.7961 Å, c = 8.7961 Å
α = 151.95°, β = 151.95°, γ = 40.09°
With the nearest neighbours (Å) after each atom.
Atoms (fractional coordinates):
Er  0.1762  0.1762  0.0000  5 Sb 3.09-3.13
Er  0.8238  0.8238  0.0000  5 Sb 3.09-3.13
Zr  0.0000  0.5000  0.5000  4 Zr 3.01, 4 Sb 3.08
Zr  0.5000  0.0000  0.5000  4 Zr 3.01, 4 Sb 3.08
Sb  0.3654  0.3654  0.0000  4 Zr 3.08, 5 Er 3.09-3.13
Sb  0.6346  0.6346  0.0000  4 Zr 3.08, 5 Er 3.09-3.13

# LiTaNbAg2O6

An optimized crystal structure of LiTaNbAg2O6 (PBE, the Materials Project database).

Output
Energy of formation from the pure elements: -2.125 eV per atom
Offset from the most stable computed form: 0.07 eV per formula unit
Density: 7.25 g/cm³
M_tot: 0.00 μB/atom
Total energy after the MP2020 corrections: -7.509 eV per atom

a = 4.0827 Å, b = 4.0827 Å, c = 8.1434 Å
α = 90.00°, β = 90.00°, γ = 90.25°
With the nearest neighbours (Å) after each atom.
Atoms (fractional coordinates):
Li  0.0000  0.0000  0.0000  4 O 2.04
Ta  0.5000  0.5000  0.0000  6 O 2.00-2.04
Nb  0.5000  0.5000  0.5000  6 O 2.04-2.07
Ag  0.0000  0.0000  0.3082  1 Li 2.51, 4 O 2.57
Ag  0.0000  0.0000  0.6918  1 Li 2.51, 4 O 2.57
O  0.0000  0.5000  0.0000  2 Ta 2.04, 2 Li 2.04
O  0.0000  0.5000  0.5000  2 Nb 2.04
O  0.5000  0.0000  0.0000  2 Ta 2.04, 2 Li 2.04
O  0.5000  0.0000  0.5000  2 Nb 2.04
O  0.5000  0.5000  0.2460  1 Ta 2.00, 1 Nb 2.07
O  0.5000  0.5000  0.7540  1 Ta 2.00, 1 Nb 2.07